Entry from Materials Project: Sr6Ta2O11 after structural relaxation (PBE).

Lattice parameters (Å, degrees): 8.5673 8.5673 8.5464 90.00 90.00 90.00
Last column: nearest neighbours and their distance in Å.
Fractional positions:
Sr 0.0006 0.0006 0.2227  6 O 2.64-2.92
Sr 0.0006 0.4994 0.2227  6 O 2.64-2.92
Sr 0.2500 0.2500 0.9702  4 O 2.30
Sr 0.2500 0.7500 0.5000  6 O 2.32-2.57
Sr 0.4994 0.0006 0.2227  6 O 2.64-2.92
Sr 0.4994 0.4994 0.2227  6 O 2.64-2.92
Sr 0.5006 0.5006 0.7773  6 O 2.64-2.92
Sr 0.5006 0.9994 0.7773  6 O 2.64-2.92
Sr 0.7500 0.2500 0.5000  6 O 2.32-2.57
Sr 0.7500 0.7500 0.0298  4 O 2.30
Sr 0.9994 0.5006 0.7773  6 O 2.64-2.92
Sr 0.9994 0.9994 0.7773  6 O 2.64-2.92
Ta 0.2500 0.2500 0.5274  5 O 1.91-1.97
Ta 0.2500 0.7500 0.0000  6 O 1.95-2.01
Ta 0.7500 0.2500 0.0000  6 O 1.95-2.01
Ta 0.7500 0.7500 0.4726  5 O 1.91-1.97
O 0.0154 0.7500 0.9922  1 Ta 2.01
O 0.0323 0.2500 0.6008  1 Ta 1.97
O 0.2500 0.0323 0.6008  1 Ta 1.97
O 0.2500 0.2500 0.3036  1 Ta 1.91
O 0.2500 0.4677 0.6008  1 Ta 1.97
O 0.2500 0.5154 0.0078  1 Ta 2.01
O 0.2500 0.7500 0.2282  1 Ta 1.95
O 0.2500 0.7500 0.7718  1 Ta 1.95
O 0.2500 0.9846 0.0078  1 Ta 2.01
O 0.4677 0.2500 0.6008  1 Ta 1.97
O 0.4846 0.7500 0.9922  1 Ta 2.01
O 0.5154 0.2500 0.0078  1 Ta 2.01
O 0.5323 0.7500 0.3992  1 Ta 1.97
O 0.7500 0.0154 0.9922  1 Ta 2.01
O 0.7500 0.2500 0.2282  1 Ta 1.95
O 0.7500 0.2500 0.7718  1 Ta 1.95
O 0.7500 0.4846 0.9922  1 Ta 2.01
O 0.7500 0.5323 0.3992  1 Ta 1.97
O 0.7500 0.7500 0.6964  1 Ta 1.91
O 0.7500 0.9677 0.3992  1 Ta 1.97
O 0.9677 0.7500 0.3992  1 Ta 1.97
O 0.9846 0.2500 0.0078  1 Ta 2.01

Values from the calculation:
Size of the total moment (Bohr magnetons per cell): 0.00
Formation energy (eV/f.u.): -60.94



Entry from Materials Project: GaHO2 after structural relaxation (PBE).

Lattice parameters (Å, degrees): 6.0499 5.2352 6.2130 63.12 50.52 66.35
Last column: nearest neighbours and their distance in Å.
Fractional positions:
Ga 0.1986 0.8014 0.3065  6 O 1.99-2.20
Ga 0.5565 0.9435 0.4486  6 O 1.99-2.20
Ga 0.8014 0.1986 0.6935  6 O 1.99-2.20
Ga 0.9435 0.5565 0.0514  6 O 1.99-2.20
H 0.1885 0.3368 0.5998  1 O 0.98
H 0.3368 0.1885 0.8749  1 O 0.98
H 0.3751 0.6502 0.9132  1 O 0.98
H 0.6502 0.3751 0.0615  1 O 0.98
O 0.1270 0.8616 0.6421  4 Ga 1.99-2.20
O 0.3564 0.3669 0.3979  1 H 0.98
O 0.3669 0.3564 0.8788  1 H 0.98
O 0.3712 0.8521 0.8831  1 H 0.98
O 0.6079 0.8807 0.1230  4 Ga 1.99-2.20
O 0.8521 0.3712 0.8936  1 H 0.98
O 0.8616 0.1270 0.3693  4 Ga 1.99-2.20
O 0.8807 0.6079 0.3884  4 Ga 1.99-2.20

Values from the calculation:
Size of the total moment (Bohr magnetons per cell): 0.00
Formation energy (eV/f.u.): -6.64



Entry from Materials Project: K2TiGe3O9 after structural relaxation (PBE).

Lattice parameters (Å, degrees): 12.0422 12.0422 10.6124 90.04 90.04 60.01
Last column: nearest neighbours and their distance in Å.
Fractional positions:
K 0.0027 0.0027 0.2590  4 O 2.51-2.80
K 0.0027 0.6445 0.7591  4 O 2.51-2.79
K 0.3454 0.3014 0.2592  4 O 2.51-2.79
K 0.3460 0.0024 0.7591  4 O 2.51-2.80
K 0.3551 0.2968 0.7411  4 O 2.51-2.80
K 0.3555 0.9973 0.2409  4 O 2.51-2.79
K 0.6974 0.2973 0.2414  4 O 2.51-2.80
K 0.6986 0.6546 0.7408  4 O 2.51-2.79
K 0.7027 0.3026 0.7586  4 O 2.51-2.80
K 0.7032 0.6449 0.2589  4 O 2.51-2.80
K 0.9973 0.9973 0.7410  4 O 2.51-2.80
K 0.9976 0.6540 0.2409  4 O 2.51-2.80
Ti 0.0170 0.3163 0.2408  6 O 1.97-1.99
Ti 0.0174 0.3161 0.7408  6 O 1.98-1.99
Ti 0.3505 0.6495 0.2500  6 O 1.99-2.00
Ti 0.3505 0.6495 0.7500  6 O 1.99-2.00
Ti 0.6839 0.9826 0.2592  6 O 1.98-1.99
Ti 0.6837 0.9830 0.7592  6 O 1.97-1.99
Ge 0.0671 0.1029 0.9856  4 O 1.74-1.80
Ge 0.0671 0.4793 0.4860  4 O 1.74-1.80
Ge 0.1735 0.6494 0.0004  4 O 1.75-1.81
Ge 0.1736 0.8264 0.5000  4 O 1.76-1.81
Ge 0.1804 0.3661 0.9857  4 O 1.74-1.80
Ge 0.1807 0.1029 0.4863  4 O 1.74-1.80
Ge 0.3505 0.4725 0.5003  4 O 1.75-1.81
Ge 0.3506 0.8265 0.9996  4 O 1.75-1.81
Ge 0.5203 0.1961 0.0141  4 O 1.74-1.80
Ge 0.5207 0.9329 0.5140  4 O 1.74-1.80
Ge 0.5275 0.4725 0.0000  4 O 1.75-1.81
Ge 0.5275 0.6495 0.4997  4 O 1.75-1.81
Ge 0.6339 0.1961 0.5143  4 O 1.74-1.80
Ge 0.6339 0.8196 0.0143  4 O 1.74-1.80
Ge 0.8039 0.3661 0.4857  4 O 1.74-1.80
Ge 0.8039 0.4797 0.9859  4 O 1.74-1.80
Ge 0.8971 0.8193 0.5137  4 O 1.74-1.80
Ge 0.8971 0.9329 0.0144  4 O 1.74-1.80
O 0.0195 0.8559 0.5577  2 Ge 1.80-1.81
O 0.0195 0.7741 0.0579  2 Ge 1.80-1.81
O 0.0746 0.1613 0.1338  1 Ge 1.74
O 0.0750 0.4138 0.6342  1 Ge 1.74
O 0.1153 0.1609 0.6338  1 Ge 1.74
O 0.1148 0.3739 0.1345  1 Ge 1.75
O 0.1440 0.5250 0.9423  2 Ge 1.80-1.81
O 0.1441 0.9805 0.4423  2 Ge 1.80-1.81
O 0.1574 0.1990 0.3537  1 Ge 1.75
O 0.1575 0.2928 0.8542  1 Ge 1.74
O 0.1984 0.7167 0.8635  1 Ge 1.76
O 0.1985 0.7344 0.3636  1 Ge 1.76
O 0.2259 0.4431 0.4422  2 Ge 1.80-1.81
O 0.2259 0.9805 0.9421  2 Ge 1.80-1.81
O 0.2656 0.5823 0.1363  1 Ge 1.75
O 0.2656 0.8015 0.6364  1 Ge 1.76
O 0.2834 0.5645 0.6362  1 Ge 1.75
O 0.2833 0.8016 0.1365  1 Ge 1.76
O 0.3505 0.0305 0.4997  2 Ge 1.78-1.79
O 0.3506 0.2686 0.0004  2 Ge 1.78-1.79
O 0.4178 0.4973 0.3635  1 Ge 1.76
O 0.4177 0.7344 0.8637  1 Ge 1.75
O 0.4355 0.7166 0.3638  1 Ge 1.75
O 0.4356 0.4973 0.8636  1 Ge 1.75
O 0.4750 0.3185 0.5580  2 Ge 1.80-1.81
O 0.4750 0.8560 0.0577  2 Ge 1.80-1.81
O 0.5027 0.5644 0.1364  1 Ge 1.75
O 0.5027 0.5822 0.6365  1 Ge 1.76
O 0.5434 0.0999 0.1463  1 Ge 1.75
O 0.5436 0.0063 0.6458  1 Ge 1.75
O 0.5568 0.3185 0.0577  2 Ge 1.80-1.81
O 0.5569 0.7741 0.5578  2 Ge 1.80-1.81
O 0.5858 0.1379 0.8661  1 Ge 1.74
O 0.5862 0.9250 0.3658  1 Ge 1.74
O 0.6265 0.1377 0.3664  1 Ge 1.74
O 0.6261 0.8852 0.8655  1 Ge 1.75
O 0.6815 0.5250 0.4420  2 Ge 1.80-1.81
O 0.6815 0.4432 0.9423  2 Ge 1.80-1.81
O 0.7074 0.1000 0.6465  1 Ge 1.75
O 0.7072 0.8425 0.1458  1 Ge 1.74
O 0.7311 0.2689 0.5000  2 Ge 1.79
O 0.7314 0.6494 0.9996  2 Ge 1.78-1.79
O 0.8010 0.0063 0.1463  1 Ge 1.75
O 0.8010 0.8426 0.6463  1 Ge 1.75
O 0.8391 0.8847 0.3662  1 Ge 1.74
O 0.8387 0.9254 0.8662  1 Ge 1.74
O 0.8623 0.3735 0.6336  1 Ge 1.74
O 0.8621 0.4142 0.1339  1 Ge 1.74
O 0.9000 0.2926 0.3535  1 Ge 1.75
O 0.9001 0.4566 0.8537  1 Ge 1.75
O 0.9695 0.6495 0.5003  2 Ge 1.78-1.79
O 0.9699 0.0301 0.0000  2 Ge 1.79
O 0.9937 0.1990 0.8537  1 Ge 1.75
O 0.9937 0.4564 0.3542  1 Ge 1.75

Values from the calculation:
Size of the total moment (Bohr magnetons per cell): 0.00
Formation energy (eV/f.u.): -35.71



Entry from Materials Project: Mg5Si9 after structural relaxation (PBE).

Lattice parameters (Å, degrees): 6.6762 6.9267 13.6427 75.46 76.37 66.22
Last column: nearest neighbours and their distance in Å.
Fractional positions:
Mg 0.0000 0.0000 0.0000  5 Si 2.71-2.91
Mg 0.0093 0.3013 0.3277  6 Si 2.67-2.93
Mg 0.1398 0.7103 0.7969  4 Si 2.66-2.85
Mg 0.1834 0.4287 0.4790  5 Si 2.71-3.00
Mg 0.4235 0.8333 0.4027  6 Si 2.79-3.01, 1 Mg 3.05
Mg 0.5929 0.3967 0.5604  6 Si 2.77-3.02, 1 Mg 3.09
Mg 0.6185 0.8178 0.0340  4 Si 2.62-2.87
Mg 0.6867 0.1314 0.2283  5 Si 2.72-2.89
Mg 0.7413 0.9812 0.4643  4 Si 2.67-2.91
Mg 0.8097 0.4432 0.8660  4 Si 2.60-2.79
Si 0.0109 0.2789 0.1179  3 Si 2.44-2.49
Si 0.0236 0.0976 0.5239  2 Si 2.34-2.42
Si 0.1603 0.7285 0.5839  3 Si 2.34-2.60
Si 0.1977 0.3488 0.9416  3 Si 2.38-2.46
Si 0.3164 0.5943 0.0857  4 Si 2.37-2.41
Si 0.3303 0.0486 0.2035  3 Si 2.41-2.52, 1 Mg 2.70
Si 0.3355 0.6879 0.2392  4 Si 2.39-2.43
Si 0.3653 0.1355 0.6729  3 Si 2.39-2.40
Si 0.4211 0.7327 0.9086  2 Si 2.38-2.41, 1 Mg 2.60
Si 0.4390 0.0790 0.8437  4 Si 2.38-2.42
Si 0.4893 0.7990 0.6180  3 Si 2.39-2.60
Si 0.4923 0.2454 0.0442  3 Si 2.37-2.52
Si 0.5693 0.4190 0.3550  1 Si 2.40, 1 Mg 2.67
Si 0.8081 0.0713 0.8337  2 Si 2.40-2.42, 1 Mg 2.66
Si 0.8527 0.6138 0.6639  3 Si 2.39-2.42
Si 0.9340 0.6443 0.1482  3 Si 2.40-2.49, 1 Mg 2.62
Si 0.9576 0.7146 0.3116  2 Si 2.43-2.45, 1 Mg 2.70
Si 0.9764 0.2339 0.6779  4 Si 2.39-2.42

Values from the calculation:
Size of the total moment (Bohr magnetons per cell): 0.00
Formation energy (eV/f.u.): 2.58



Please write out number 1 again, unchanged.
Entry from Materials Project: Sr6Ta2O11 after structural relaxation (PBE).

Lattice parameters (Å, degrees): 8.5673 8.5673 8.5464 90.00 90.00 90.00
Last column: nearest neighbours and their distance in Å.
Fractional positions:
Sr 0.0006 0.0006 0.2227  6 O 2.64-2.92
Sr 0.0006 0.4994 0.2227  6 O 2.64-2.92
Sr 0.2500 0.2500 0.9702  4 O 2.30
Sr 0.2500 0.7500 0.5000  6 O 2.32-2.57
Sr 0.4994 0.0006 0.2227  6 O 2.64-2.92
Sr 0.4994 0.4994 0.2227  6 O 2.64-2.92
Sr 0.5006 0.5006 0.7773  6 O 2.64-2.92
Sr 0.5006 0.9994 0.7773  6 O 2.64-2.92
Sr 0.7500 0.2500 0.5000  6 O 2.32-2.57
Sr 0.7500 0.7500 0.0298  4 O 2.30
Sr 0.9994 0.5006 0.7773  6 O 2.64-2.92
Sr 0.9994 0.9994 0.7773  6 O 2.64-2.92
Ta 0.2500 0.2500 0.5274  5 O 1.91-1.97
Ta 0.2500 0.7500 0.0000  6 O 1.95-2.01
Ta 0.7500 0.2500 0.0000  6 O 1.95-2.01
Ta 0.7500 0.7500 0.4726  5 O 1.91-1.97
O 0.0154 0.7500 0.9922  1 Ta 2.01
O 0.0323 0.2500 0.6008  1 Ta 1.97
O 0.2500 0.0323 0.6008  1 Ta 1.97
O 0.2500 0.2500 0.3036  1 Ta 1.91
O 0.2500 0.4677 0.6008  1 Ta 1.97
O 0.2500 0.5154 0.0078  1 Ta 2.01
O 0.2500 0.7500 0.2282  1 Ta 1.95
O 0.2500 0.7500 0.7718  1 Ta 1.95
O 0.2500 0.9846 0.0078  1 Ta 2.01
O 0.4677 0.2500 0.6008  1 Ta 1.97
O 0.4846 0.7500 0.9922  1 Ta 2.01
O 0.5154 0.2500 0.0078  1 Ta 2.01
O 0.5323 0.7500 0.3992  1 Ta 1.97
O 0.7500 0.0154 0.9922  1 Ta 2.01
O 0.7500 0.2500 0.2282  1 Ta 1.95
O 0.7500 0.2500 0.7718  1 Ta 1.95
O 0.7500 0.4846 0.9922  1 Ta 2.01
O 0.7500 0.5323 0.3992  1 Ta 1.97
O 0.7500 0.7500 0.6964  1 Ta 1.91
O 0.7500 0.9677 0.3992  1 Ta 1.97
O 0.9677 0.7500 0.3992  1 Ta 1.97
O 0.9846 0.2500 0.0078  1 Ta 2.01

Values from the calculation:
Size of the total moment (Bohr magnetons per cell): 0.00
Formation energy (eV/f.u.): -60.94



Question: formation energy of number 4 (Mg5Si9)?
Answer: 2.58 eV/f.u.



What did the second record say?
Entry from Materials Project: GaHO2 after structural relaxation (PBE).

Lattice parameters (Å, degrees): 6.0499 5.2352 6.2130 63.12 50.52 66.35
Last column: nearest neighbours and their distance in Å.
Fractional positions:
Ga 0.1986 0.8014 0.3065  6 O 1.99-2.20
Ga 0.5565 0.9435 0.4486  6 O 1.99-2.20
Ga 0.8014 0.1986 0.6935  6 O 1.99-2.20
Ga 0.9435 0.5565 0.0514  6 O 1.99-2.20
H 0.1885 0.3368 0.5998  1 O 0.98
H 0.3368 0.1885 0.8749  1 O 0.98
H 0.3751 0.6502 0.9132  1 O 0.98
H 0.6502 0.3751 0.0615  1 O 0.98
O 0.1270 0.8616 0.6421  4 Ga 1.99-2.20
O 0.3564 0.3669 0.3979  1 H 0.98
O 0.3669 0.3564 0.8788  1 H 0.98
O 0.3712 0.8521 0.8831  1 H 0.98
O 0.6079 0.8807 0.1230  4 Ga 1.99-2.20
O 0.8521 0.3712 0.8936  1 H 0.98
O 0.8616 0.1270 0.3693  4 Ga 1.99-2.20
O 0.8807 0.6079 0.3884  4 Ga 1.99-2.20

Values from the calculation:
Size of the total moment (Bohr magnetons per cell): 0.00
Formation energy (eV/f.u.): -6.64



Repeat the first record exactly.
Entry from Materials Project: Sr6Ta2O11 after structural relaxation (PBE).

Lattice parameters (Å, degrees): 8.5673 8.5673 8.5464 90.00 90.00 90.00
Last column: nearest neighbours and their distance in Å.
Fractional positions:
Sr 0.0006 0.0006 0.2227  6 O 2.64-2.92
Sr 0.0006 0.4994 0.2227  6 O 2.64-2.92
Sr 0.2500 0.2500 0.9702  4 O 2.30
Sr 0.2500 0.7500 0.5000  6 O 2.32-2.57
Sr 0.4994 0.0006 0.2227  6 O 2.64-2.92
Sr 0.4994 0.4994 0.2227  6 O 2.64-2.92
Sr 0.5006 0.5006 0.7773  6 O 2.64-2.92
Sr 0.5006 0.9994 0.7773  6 O 2.64-2.92
Sr 0.7500 0.2500 0.5000  6 O 2.32-2.57
Sr 0.7500 0.7500 0.0298  4 O 2.30
Sr 0.9994 0.5006 0.7773  6 O 2.64-2.92
Sr 0.9994 0.9994 0.7773  6 O 2.64-2.92
Ta 0.2500 0.2500 0.5274  5 O 1.91-1.97
Ta 0.2500 0.7500 0.0000  6 O 1.95-2.01
Ta 0.7500 0.2500 0.0000  6 O 1.95-2.01
Ta 0.7500 0.7500 0.4726  5 O 1.91-1.97
O 0.0154 0.7500 0.9922  1 Ta 2.01
O 0.0323 0.2500 0.6008  1 Ta 1.97
O 0.2500 0.0323 0.6008  1 Ta 1.97
O 0.2500 0.2500 0.3036  1 Ta 1.91
O 0.2500 0.4677 0.6008  1 Ta 1.97
O 0.2500 0.5154 0.0078  1 Ta 2.01
O 0.2500 0.7500 0.2282  1 Ta 1.95
O 0.2500 0.7500 0.7718  1 Ta 1.95
O 0.2500 0.9846 0.0078  1 Ta 2.01
O 0.4677 0.2500 0.6008  1 Ta 1.97
O 0.4846 0.7500 0.9922  1 Ta 2.01
O 0.5154 0.2500 0.0078  1 Ta 2.01
O 0.5323 0.7500 0.3992  1 Ta 1.97
O 0.7500 0.0154 0.9922  1 Ta 2.01
O 0.7500 0.2500 0.2282  1 Ta 1.95
O 0.7500 0.2500 0.7718  1 Ta 1.95
O 0.7500 0.4846 0.9922  1 Ta 2.01
O 0.7500 0.5323 0.3992  1 Ta 1.97
O 0.7500 0.7500 0.6964  1 Ta 1.91
O 0.7500 0.9677 0.3992  1 Ta 1.97
O 0.9677 0.7500 0.3992  1 Ta 1.97
O 0.9846 0.2500 0.0078  1 Ta 2.01

Values from the calculation:
Size of the total moment (Bohr magnetons per cell): 0.00
Formation energy (eV/f.u.): -60.94